(1)
A geometry-optimized TaSbO4 structure. Source: the Materials Project, functional PBE-GGA.

Results
For the calculated volume, the calculation gives 24.92 Å³/atom.

Unit cell a=5.7752 b=20.1774 c=5.1335 alpha=90.00 beta=90.00 gamma=90.00
Fractional positions:
Ta  0.2500  0.0000  0.0090
Ta  0.2500  0.5000  0.4910
Ta  0.7500  0.0000  0.9910
Ta  0.7500  0.5000  0.5090
Sb  0.1059  0.2500  0.7500
Sb  0.3941  0.7500  0.7500
Sb  0.6059  0.2500  0.2500
Sb  0.8941  0.7500  0.2500
O  0.0066  0.5455  0.6805
O  0.0066  0.9545  0.8195
O  0.1477  0.7217  0.0037
O  0.1477  0.7783  0.4963
O  0.3523  0.2217  0.4963
O  0.3523  0.2783  0.0037
O  0.4934  0.0455  0.8195
O  0.4934  0.4545  0.6805
O  0.5066  0.5455  0.3195
O  0.5066  0.9545  0.1805
O  0.6477  0.7217  0.9963
O  0.6477  0.7783  0.5037
O  0.8523  0.2217  0.5037
O  0.8523  0.2783  0.9963
O  0.9934  0.0455  0.1805
O  0.9934  0.4545  0.3195

(2)
A geometry-optimized TaSbO4 structure. Source: the Materials Project, functional PBE-GGA.

Results
For the calculated volume, the calculation gives 19.51 Å³/atom.

Unit cell a=11.0257 b=6.9682 c=6.0938 alpha=90.00 beta=90.00 gamma=90.00
Fractional positions:
O  0.4923  0.1853  0.5005
O  0.3815  0.4995  0.2439
O  0.5077  0.8147  0.0005
O  0.4923  0.8147  0.4995
O  0.6185  0.5005  0.7439
O  0.8815  0.9995  0.7561
O  0.5077  0.1853  0.9995
O  0.1185  0.9995  0.7439
O  0.8815  0.0005  0.2439
O  0.6185  0.4995  0.2561
O  0.3815  0.5005  0.7561
O  0.0077  0.6853  0.0005
O  0.9923  0.6853  0.4995
O  0.1185  0.0005  0.2561
O  0.0077  0.3147  0.9995
O  0.9923  0.3147  0.5005
Ta  0.0000  0.5002  0.7500
Ta  0.0000  0.4998  0.2500
Ta  0.5000  0.9998  0.7500
Ta  0.5000  0.0002  0.2500
Sb  0.4958  0.5000  0.5000
Sb  0.0042  0.0000  0.0000
Sb  0.5042  0.5000  0.0000
Sb  0.9958  0.0000  0.5000

(3)
A geometry-optimized TaSbO4 structure. Source: the Materials Project, functional PBE-GGA.

Results
For the calculated volume, the calculation gives 17.28 Å³/atom.

Unit cell a=6.2333 b=10.4681 c=6.3549 alpha=90.00 beta=90.00 gamma=90.00
Fractional positions:
Ta  0.2500  0.0000  0.0052
Ta  0.2500  0.5000  0.4948
Ta  0.7500  0.0000  0.9948
Ta  0.7500  0.5000  0.5052
Sb  0.0197  0.2500  0.2500
Sb  0.4803  0.7500  0.2500
Sb  0.5197  0.2500  0.7500
Sb  0.9803  0.7500  0.7500
O  0.0182  0.5206  0.7040
O  0.0182  0.9794  0.7960
O  0.2450  0.6877  0.4507
O  0.2450  0.8123  0.0493
O  0.2550  0.1877  0.0493
O  0.2550  0.3123  0.4507
O  0.4818  0.0206  0.7960
O  0.4818  0.4794  0.7040
O  0.5182  0.5206  0.2960
O  0.5182  0.9794  0.2040
O  0.7450  0.6877  0.5493
O  0.7450  0.8123  0.9507
O  0.7550  0.1877  0.9507
O  0.7550  0.3123  0.5493
O  0.9818  0.0206  0.2040
O  0.9818  0.4794  0.2960

(4)
A geometry-optimized TaTiSbO6 structure. Source: the Materials Project, functional PBE-GGA.

Results
For the calculated volume, the calculation gives 12.63 Å³/atom.

Unit cell a=4.8987 b=5.5635 c=8.6956 alpha=91.31 beta=106.29 gamma=90.38
Fractional positions:
Ta  0.0854  0.3219  0.1510
Ta  0.9146  0.6781  0.8490
Ti  0.4380  0.1752  0.8467
Ti  0.5620  0.8248  0.1533
Sb  0.1993  0.7574  0.5001
Sb  0.8007  0.2426  0.4999
O  0.0183  0.4135  0.3639
O  0.1546  0.0840  0.6370
O  0.1556  0.3470  0.9368
O  0.2803  0.8447  0.9391
O  0.3209  0.0635  0.2255
O  0.4078  0.5705  0.2225
O  0.5922  0.4295  0.7775
O  0.6791  0.9365  0.7745
O  0.7197  0.1553  0.0609
O  0.8444  0.6530  0.0632
O  0.8454  0.9160  0.3630
O  0.9817  0.5865  0.6361

(5)
A geometry-optimized TaZn2SbO6 structure. Source: the Materials Project, functional PBE-GGA.

Results
For the calculated volume, the calculation gives 12.15 Å³/atom.

Unit cell a=5.4894 b=8.0011 c=5.5388 alpha=90.00 beta=92.49 gamma=90.00
Fractional positions:
Ta  0.0000  0.0000  0.0000
Ta  0.0000  0.5000  0.0000
Zn  0.0220  0.2500  0.5140
Zn  0.4826  0.7500  0.0243
Zn  0.5174  0.2500  0.9757
Zn  0.9780  0.7500  0.4860
Sb  0.5000  0.0000  0.5000
Sb  0.5000  0.5000  0.5000
O  0.0888  0.7500  0.1236
O  0.1424  0.5704  0.6912
O  0.1424  0.9296  0.6912
O  0.3207  0.0709  0.1337
O  0.3207  0.4291  0.1337
O  0.3810  0.2500  0.6286
O  0.6190  0.7500  0.3714
O  0.6793  0.5709  0.8663
O  0.6793  0.9291  0.8663
O  0.8576  0.0704  0.3088
O  0.8576  0.4296  0.3088
O  0.9112  0.2500  0.8764

(6)
A geometry-optimized TbSbO4 structure. Source: the Materials Project, functional PBE-GGA.

Results
For the calculated volume, the calculation gives 13.02 Å³/atom.

Unit cell a=5.4195 b=7.5941 c=7.6933 alpha=80.82 beta=88.01 gamma=89.76
Fractional positions:
Tb  0.2131  0.3920  0.3401
Tb  0.2643  0.8887  0.3658
Tb  0.7357  0.1113  0.6342
Tb  0.7869  0.6080  0.6599
Sb  0.2412  0.3033  0.8358
Sb  0.2754  0.8070  0.8364
Sb  0.7246  0.1930  0.1636
Sb  0.7588  0.6967  0.1642
O  0.0083  0.8801  0.6711
O  0.0452  0.3228  0.6143
O  0.0866  0.8067  0.0645
O  0.1339  0.5597  0.8288
O  0.3886  0.0586  0.8280
O  0.4006  0.3023  0.0683
O  0.4638  0.6254  0.3115
O  0.4900  0.8240  0.6128
O  0.5100  0.1760  0.3872
O  0.5362  0.3746  0.6885
O  0.5994  0.6977  0.9317
O  0.6114  0.9414  0.1720
O  0.8661  0.4403  0.1712
O  0.9134  0.1933  0.9355
O  0.9548  0.6772  0.3857
O  0.9917  0.1199  0.3289

(7)
A geometry-optimized Tb9Sb5O5 structure. Source: the Materials Project, functional PBE-GGA.

Results
For the calculated volume, the calculation gives 23.14 Å³/atom.

Unit cell a=9.9246 b=9.9246 c=8.9255 alpha=90.00 beta=90.00 gamma=90.00
Fractional positions:
Tb  0.0241  0.3325  0.0015
Tb  0.0446  0.8546  0.6581
Tb  0.1454  0.5446  0.3419
Tb  0.1675  0.0241  0.0015
Tb  0.2500  0.2500  0.6716
Tb  0.3325  0.4759  0.0015
Tb  0.3546  0.9554  0.3419
Tb  0.4554  0.6454  0.6581
Tb  0.4759  0.1675  0.0015
Tb  0.5241  0.8325  0.9985
Tb  0.5446  0.3546  0.3419
Tb  0.6454  0.0446  0.6581
Tb  0.6675  0.5241  0.9985
Tb  0.7500  0.7500  0.3284
Tb  0.8325  0.9759  0.9985
Tb  0.8546  0.4554  0.6581
Tb  0.9554  0.1454  0.3419
Tb  0.9759  0.6675  0.9985
Sb  0.0545  0.8456  0.3016
Sb  0.1544  0.5545  0.6984
Sb  0.2500  0.2500  0.3180
Sb  0.3456  0.9455  0.6984
Sb  0.4455  0.6544  0.3016
Sb  0.5545  0.3456  0.6984
Sb  0.6544  0.0545  0.3016
Sb  0.7500  0.7500  0.6820
Sb  0.8456  0.4455  0.3016
Sb  0.9455  0.1544  0.6984
O  0.0251  0.8701  0.9129
O  0.1299  0.5251  0.0871
O  0.2500  0.2500  0.9356
O  0.3701  0.9749  0.0871
O  0.4749  0.6299  0.9129
O  0.5251  0.3701  0.0871
O  0.6299  0.0251  0.9129
O  0.7500  0.7500  0.0644
O  0.8701  0.4749  0.9129
O  0.9749  0.1299  0.0871

(8)
A geometry-optimized TbSbO4 structure. Source: the Materials Project, functional PBE-GGA.

Results
For the calculated volume, the calculation gives 12.99 Å³/atom.

Unit cell a=7.6942 b=5.4097 c=7.5837 alpha=90.00 beta=99.08 gamma=90.00
Fractional positions:
Tb  0.1474  0.2239  0.3908
Tb  0.1474  0.2761  0.8908
Tb  0.8526  0.7239  0.1092
Tb  0.8526  0.7761  0.6092
Sb  0.3372  0.7321  0.1956
Sb  0.3372  0.7679  0.6956
Sb  0.6628  0.2321  0.3044
Sb  0.6628  0.2679  0.8044
O  0.1139  0.5256  0.1763
O  0.1139  0.9744  0.6763
O  0.1809  0.0132  0.1227
O  0.1809  0.4868  0.6227
O  0.3282  0.6218  0.9416
O  0.3282  0.8782  0.4416
O  0.4315  0.0959  0.8049
O  0.4315  0.4041  0.3049
O  0.5685  0.5959  0.6951
O  0.5685  0.9041  0.1951
O  0.6718  0.1218  0.5584
O  0.6718  0.3782  0.0584
O  0.8191  0.5132  0.3773
O  0.8191  0.9868  0.8773
O  0.8861  0.0256  0.3237
O  0.8861  0.4744  0.8237

(9)
A geometry-optimized Tb2SbO2 structure. Source: the Materials Project, functional PBE-GGA.

Results
For the calculated volume, the calculation gives 20.15 Å³/atom.

Unit cell a=3.8769 b=3.8769 c=13.4083 alpha=90.00 beta=90.00 gamma=90.00
Fractional positions:
Tb  0.0000  0.0000  0.1656
Tb  0.0000  0.0000  0.8344
Tb  0.5000  0.5000  0.3344
Tb  0.5000  0.5000  0.6656
Sb  0.0000  0.0000  0.5000
Sb  0.5000  0.5000  0.0000
O  0.0000  0.5000  0.2500
O  0.0000  0.5000  0.7500
O  0.5000  0.0000  0.2500
O  0.5000  0.0000  0.7500

(10)
A geometry-optimized Tb3Sb5O12 structure. Source: the Materials Project, functional PBE-GGA.

Results
For the calculated volume, the calculation gives 16.21 Å³/atom.

Unit cell a=9.4439 b=9.4439 c=9.4439 alpha=109.47 beta=109.47 gamma=109.47
Fractional positions:
Tb  0.2500  0.5000  0.7500
Tb  0.2500  0.7500  0.5000
Tb  0.5000  0.2500  0.7500
Tb  0.5000  0.7500  0.2500
Tb  0.7500  0.2500  0.5000
Tb  0.7500  0.5000  0.2500
Sb  0.0000  0.0000  0.4873
Sb  0.0000  0.2832  0.2832
Sb  0.0000  0.4873  0.0000
Sb  0.0000  0.7168  0.7168
Sb  0.2832  0.0000  0.2832
Sb  0.2832  0.2832  0.0000
Sb  0.4873  0.0000  0.0000
Sb  0.5127  0.5127  0.5127
Sb  0.7168  0.0000  0.7168
Sb  0.7168  0.7168  0.0000
O  0.0000  0.2958  0.4973
O  0.0000  0.4973  0.2958
O  0.0000  0.5214  0.7987
O  0.0000  0.7987  0.5214
O  0.2013  0.2013  0.7227
O  0.2013  0.7227  0.2013
O  0.2015  0.7042  0.7042
O  0.2773  0.4786  0.4786
O  0.2958  0.0000  0.4973
O  0.2958  0.4973  0.0000
O  0.4786  0.2773  0.4786
O  0.4786  0.4786  0.2773
O  0.4973  0.0000  0.2958
O  0.4973  0.2958  0.0000
O  0.5027  0.5027  0.7985
O  0.5027  0.7985  0.5027
O  0.5214  0.0000  0.7987
O  0.5214  0.7987  0.0000
O  0.7042  0.2015  0.7042
O  0.7042  0.7042  0.2015
O  0.7227  0.2013  0.2013
O  0.7985  0.5027  0.5027
O  0.7987  0.0000  0.5214
O  0.7987  0.5214  0.0000

(11)
A geometry-optimized Ti5Sb5O17 structure. Source: the Materials Project, functional PBE-GGA.

Results
For the calculated volume, the calculation gives 13.66 Å³/atom.

Unit cell a=4.2322 b=5.4861 c=31.9374 alpha=90.00 beta=95.78 gamma=90.00
Fractional positions:
Ti  0.0000  0.2001  0.0000
Ti  0.0000  0.7999  0.5000
Ti  0.0795  0.2743  0.5839
Ti  0.0795  0.7257  0.0839
Ti  0.2711  0.2475  0.1723
Ti  0.2711  0.7525  0.6723
Ti  0.3531  0.2660  0.7604
Ti  0.3531  0.7340  0.2604
Ti  0.4426  0.2486  0.3491
Ti  0.4426  0.7514  0.8491
Sb  0.0538  0.2203  0.8989
Sb  0.0538  0.7797  0.3989
Sb  0.3989  0.2862  0.4508
Sb  0.3989  0.7138  0.9508
Sb  0.5185  0.2899  0.0748
Sb  0.5185  0.7101  0.5748
Sb  0.8482  0.2030  0.6804
Sb  0.8482  0.7970  0.1804
Sb  0.9476  0.2233  0.2764
Sb  0.9476  0.7767  0.7764
O  0.0260  0.0323  0.4526
O  0.0260  0.9677  0.9526
O  0.0431  0.4358  0.9525
O  0.0431  0.5642  0.4525
O  0.1227  0.0217  0.5467
O  0.1227  0.9783  0.0467
O  0.1420  0.4592  0.0413
O  0.1420  0.5408  0.5413
O  0.1432  0.0899  0.6360
O  0.1432  0.9101  0.1360
O  0.1908  0.0081  0.7173
O  0.1908  0.9919  0.2173
O  0.2034  0.4120  0.1213
O  0.2034  0.5880  0.6213
O  0.2204  0.4872  0.7092
O  0.2204  0.5128  0.2092
O  0.3014  0.0045  0.8019
O  0.3009  0.4697  0.2989
O  0.3009  0.5303  0.7989
O  0.3014  0.9955  0.3019
O  0.4020  0.4915  0.3941
O  0.4020  0.5085  0.8941
O  0.4313  0.0280  0.3982
O  0.4313  0.9720  0.8982
O  0.5848  0.2176  0.0052
O  0.5848  0.7824  0.5052
O  0.6522  0.3368  0.5834
O  0.6522  0.6632  0.0834
O  0.6938  0.1816  0.1732
O  0.6938  0.8184  0.6732
O  0.7703  0.2532  0.7570
O  0.7703  0.7468  0.2570
O  0.8686  0.2398  0.3405
O  0.8686  0.7602  0.8405

(12)
A geometry-optimized TiZn2SbO6 structure. Source: the Materials Project, functional PBE-GGA.

Results
For the calculated volume, the calculation gives 11.13 Å³/atom.

Unit cell a=5.2964 b=7.8618 c=5.3456 alpha=90.00 beta=91.13 gamma=90.00
Fractional positions:
Ti  0.0000  0.0000  0.0000
Ti  0.0000  0.5000  0.0000
Zn  0.0024  0.2500  0.5457
Zn  0.4851  0.7500  0.9789
Zn  0.5149  0.2500  0.0211
Zn  0.9976  0.7500  0.4543
Sb  0.5000  0.0000  0.5000
Sb  0.5000  0.5000  0.5000
O  0.1190  0.7500  0.0786
O  0.1579  0.0681  0.3188
O  0.1579  0.4319  0.3188
O  0.3168  0.0692  0.8319
O  0.3168  0.4308  0.8319
O  0.3785  0.7500  0.5839
O  0.6215  0.2500  0.4161
O  0.6832  0.5692  0.1681
O  0.6832  0.9308  0.1681
O  0.8421  0.5681  0.6812
O  0.8421  0.9319  0.6812
O  0.8810  0.2500  0.9214

no.,formation energy (eV per atom)
1,-1.772
2,-1.822
3,-2.505
4,-2.953
5,-2.141
6,-2.862
7,-2.375
8,-2.862
9,-2.991
10,-2.661
11,-2.598
12,-2.168